# 1
Density functional theory data (PBE-GGA) for a relaxed NaCaAsO4 crystal.

Computed properties:
- Crystal system: orthorhombic
- Energy of formation: -2474.9 meV per atom
- Polymorph energy (0 for the lowest one): 19 kJ/mol of formula units

Cell lengths 5.508, 5.508, 7.278 Å; angles 90.00, 90.00, 115.20 degrees
Element x y z (fractional)
1 Na 0.319 0.681 0.750
2 Na 0.681 0.319 0.250
3 Ca 0.000 0.000 0.500
4 Ca 0.000 0.000 0.000
5 As 0.649 0.351 0.750
6 As 0.351 0.649 0.250
7 O 0.753 0.247 0.557
8 O 0.247 0.753 0.443
9 O 0.247 0.753 0.057
10 O 0.753 0.247 0.943
11 O 0.773 0.700 0.750
12 O 0.227 0.300 0.250
13 O 0.300 0.227 0.750
14 O 0.700 0.773 0.250

---

# 2
Density functional theory data (PBE-GGA) for a relaxed Mo3WSe6S2 crystal.

Computed properties:
- Crystal system: trigonal
- Energy of formation: -765.8 meV per atom
- Polymorph energy (0 for the lowest one): 19 kJ/mol of formula units

Cell lengths 3.287, 3.287, 37.328 Å; angles 90.00, 90.00, 120.00 degrees
Element x y z (fractional)
1 Mo 0.333 0.667 0.094
2 Mo 0.333 0.667 0.470
3 Mo 0.667 0.333 0.282
4 W 0.667 0.333 0.658
5 Se 0.333 0.667 0.327
6 Se 0.333 0.667 0.703
7 Se 0.667 0.333 0.049
8 Se 0.667 0.333 0.139
9 Se 0.333 0.667 0.237
10 Se 0.333 0.667 0.612
11 S 0.667 0.333 0.429
12 S 0.667 0.333 0.511

---

# 3
Density functional theory data (PBE-GGA) for a relaxed MgSb2O4 crystal.

Computed properties:
- Crystal system: triclinic
- Piezoelectric modulus e_max: 0.72 C/m²
- Energy of formation: -1892.9 meV per atom
- Polymorph energy (0 for the lowest one): 187 kJ/mol of formula units

Cell lengths 6.705, 6.777, 6.967 Å; angles 92.92, 117.87, 117.50 degrees
Element x y z (fractional)
1 Mg 0.243 0.118 0.869
2 Mg 0.762 0.885 0.127
3 Sb 0.086 0.593 0.014
4 Sb 0.576 0.991 0.557
5 Sb 0.449 0.451 0.542
6 Sb 0.898 0.472 0.396
7 O 0.017 0.259 0.308
8 O 0.948 0.697 0.200
9 O 0.511 0.803 0.245
10 O 0.513 0.251 0.201
11 O 0.459 0.256 0.735
12 O 0.963 0.189 0.729
13 O 0.542 0.756 0.758
14 O 0.034 0.780 0.819

---

Copy entry 2 word for word.
Density functional theory data (PBE-GGA) for a relaxed Mo3WSe6S2 crystal.

Computed properties:
- Crystal system: trigonal
- Energy of formation: -765.8 meV per atom
- Polymorph energy (0 for the lowest one): 19 kJ/mol of formula units

Cell lengths 3.287, 3.287, 37.328 Å; angles 90.00, 90.00, 120.00 degrees
Element x y z (fractional)
1 Mo 0.333 0.667 0.094
2 Mo 0.333 0.667 0.470
3 Mo 0.667 0.333 0.282
4 W 0.667 0.333 0.658
5 Se 0.333 0.667 0.327
6 Se 0.333 0.667 0.703
7 Se 0.667 0.333 0.049
8 Se 0.667 0.333 0.139
9 Se 0.333 0.667 0.237
10 Se 0.333 0.667 0.612
11 S 0.667 0.333 0.429
12 S 0.667 0.333 0.511

---

The highest polymorph energy (0 for the lowest one) belongs to which entry? MgSb2O4

---

What is the formula in the third record? MgSb2O4

---

The highest energy of formation belongs to which entry? Mo3WSe6S2